P.
MgFe3Ni2SbP6O24 after structural relaxation, computed with GGA+U.

## Properties
Theoretical density in Mg/m³: 3.595
Space group: No. 1

a b c (Å): 8.464 8.598 8.625
angles (deg): 61.63 61.93 62.01
Fractional coordinates of all 37 atoms:
Mg  0.000  0.000  0.000
Fe  0.408  0.012  0.783
Fe  0.597  0.223  0.988
Fe  0.899  0.497  0.286
Ni  0.271  0.862  0.636
Ni  0.744  0.371  0.142
Sb  0.113  0.712  0.503
P  0.001  0.314  0.685
P  0.186  0.108  0.187
P  0.299  0.600  0.101
P  0.510  0.407  0.583
P  0.713  0.899  0.391
P  0.816  0.806  0.896
O  0.016  0.787  0.728
O  0.070  0.469  0.655
O  0.152  0.114  0.708
O  0.154  0.510  0.158
O  0.184  0.947  0.388
O  0.190  0.038  0.051
O  0.252  0.673  0.259
O  0.272  0.776  0.923
O  0.348  0.614  0.568
O  0.359  0.156  0.130
O  0.428  0.267  0.618
O  0.502  0.466  0.073
O  0.516  0.920  0.537
O  0.577  0.377  0.731
O  0.651  0.867  0.836
O  0.657  0.437  0.383
O  0.733  0.082  0.224
O  0.777  0.742  0.317
O  0.818  0.950  0.953
O  0.834  0.609  0.044
O  0.857  0.289  0.887
O  0.859  0.855  0.483
O  0.933  0.364  0.530
O  0.993  0.263  0.219

***

Q.
MgFe3Ni2SbP6O24 after structural relaxation, computed with GGA+U.

## Properties
Theoretical density in Mg/m³: 3.567
Space group: No. 1

a b c (Å): 8.679 8.681 8.681
angles (deg): 60.31 60.34 60.33
Fractional coordinates of all 37 atoms:
Mg  0.000  0.000  0.000
Fe  0.275  0.277  0.277
Fe  0.756  0.759  0.759
Fe  0.876  0.879  0.879
Ni  0.132  0.135  0.134
Ni  0.629  0.630  0.630
Sb  0.482  0.484  0.483
P  0.084  0.675  0.372
P  0.178  0.574  0.882
P  0.371  0.087  0.675
P  0.571  0.884  0.180
P  0.675  0.372  0.087
P  0.881  0.180  0.573
O  0.015  0.619  0.824
O  0.034  0.209  0.378
O  0.080  0.874  0.231
O  0.135  0.743  0.930
O  0.153  0.532  0.281
O  0.207  0.379  0.035
O  0.227  0.619  0.470
O  0.229  0.081  0.874
O  0.279  0.158  0.531
O  0.375  0.562  0.713
O  0.376  0.037  0.209
O  0.469  0.229  0.621
O  0.523  0.892  0.673
O  0.529  0.282  0.159
O  0.559  0.714  0.378
O  0.615  0.825  0.018
O  0.622  0.469  0.229
O  0.671  0.525  0.892
O  0.712  0.378  0.562
O  0.740  0.931  0.136
O  0.823  0.018  0.618
O  0.873  0.230  0.080
O  0.890  0.674  0.525
O  0.929  0.137  0.743

***

Stability summary: most stable P, least stable Q.

***

P.
MgTi2Mn2O6 after structural relaxation, computed with GGA+U.

## Properties
Theoretical density in Mg/m³: 4.387
Space group: No. 2

a b c (Å): 5.171 5.178 6.008
angles (deg): 65.97 65.54 60.70
Fractional coordinates of all 11 atoms:
Mg  0.000  0.000  0.000
Ti  0.358  0.351  0.952
Ti  0.642  0.649  0.048
Mn  0.168  0.172  0.492
Mn  0.832  0.828  0.508
O  0.050  0.415  0.784
O  0.249  0.941  0.221
O  0.413  0.759  0.775
O  0.587  0.241  0.225
O  0.751  0.059  0.779
O  0.950  0.585  0.216

***

Q.
MgTi2Mn2O6 after structural relaxation, computed with GGA+U.

## Properties
Theoretical density in Mg/m³: 4.442
Space group: No. 1

a b c (Å): 5.262 5.262 5.916
angles (deg): 116.32 90.03 119.99
Fractional coordinates of all 11 atoms:
Mg  0.000  0.000  0.000
Ti  0.176  0.352  0.528
Ti  0.825  0.648  0.473
Mn  0.367  0.734  0.101
Mn  0.634  0.268  0.902
O  0.049  0.841  0.253
O  0.209  0.797  0.747
O  0.412  0.460  0.253
O  0.588  0.539  0.747
O  0.792  0.204  0.252
O  0.951  0.159  0.747

***

Stability summary: most stable Q, least stable P.

***

P.
Li4TiCo3O8 after structural relaxation, computed with GGA+U.

## Properties
Theoretical density in Mg/m³: 4.301
Space group: No. 2

a b c (Å): 5.923 5.950 8.343
angles (deg): 90.47 90.55 92.62
Fractional coordinates of all 32 atoms:
Li  0.000  0.000  0.000
Li  0.000  0.500  0.500
Li  0.248  0.253  0.252
Li  0.251  0.753  0.746
Li  0.500  0.000  0.000
Li  0.500  0.500  0.500
Li  0.749  0.247  0.254
Li  0.752  0.747  0.748
Ti  0.246  0.262  0.758
Ti  0.754  0.738  0.242
Co  0.000  0.000  0.500
Co  0.000  0.500  0.000
Co  0.256  0.753  0.251
Co  0.500  0.000  0.500
Co  0.500  0.500  0.000
Co  0.744  0.247  0.749
O  0.003  0.527  0.255
O  0.011  0.003  0.733
O  0.241  0.228  0.509
O  0.244  0.245  0.986
O  0.257  0.736  0.024
O  0.267  0.762  0.482
O  0.475  0.495  0.744
O  0.492  0.026  0.746
O  0.507  0.974  0.254
O  0.525  0.505  0.256
O  0.733  0.238  0.518
O  0.743  0.264  0.976
O  0.756  0.755  0.014
O  0.759  0.772  0.491
O  0.989  0.997  0.267
O  0.997  0.473  0.745

***

Q.
Li4TiCo3O8 after structural relaxation, computed with GGA+U.

## Properties
Theoretical density in Mg/m³: 4.329
Space group: No. 1

a b c (Å): 5.844 5.949 10.194
angles (deg): 73.36 73.80 60.63
Fractional coordinates of all 32 atoms:
Li  0.000  0.000  0.000
Li  0.000  0.491  0.504
Li  0.251  0.244  0.749
Li  0.252  0.751  0.247
Li  0.505  0.497  0.497
Li  0.507  0.996  0.994
Li  0.758  0.243  0.748
Li  0.759  0.747  0.247
Ti  0.264  0.243  0.253
Ti  0.752  0.748  0.741
Co  0.002  0.499  0.998
Co  0.006  0.996  0.500
Co  0.251  0.742  0.752
Co  0.498  0.504  0.993
Co  0.505  0.998  0.498
Co  0.758  0.252  0.246
O  0.107  0.632  0.625
O  0.114  0.142  0.131
O  0.127  0.109  0.613
O  0.139  0.600  0.125
O  0.366  0.375  0.888
O  0.371  0.895  0.364
O  0.396  0.366  0.359
O  0.397  0.856  0.873
O  0.620  0.141  0.132
O  0.628  0.628  0.630
O  0.638  0.100  0.633
O  0.647  0.591  0.120
O  0.868  0.393  0.870
O  0.873  0.916  0.372
O  0.877  0.851  0.874
O  0.894  0.362  0.362

***

Stability summary: most stable P, least stable Q.

***

P.
Li4V2OF7 after structural relaxation, computed with GGA+U.

## Properties
Theoretical density in Mg/m³: 2.937
Largest piezoelectric modulus in C/m2: 0.2

a b c (Å): 6.033 6.079 8.596
angles (deg): 88.98 91.33 90.74
Fractional coordinates of all 28 atoms:
F  0.743  0.268  0.013
F  0.491  0.003  0.752
F  0.979  0.991  0.247
F  0.755  0.238  0.486
F  0.013  0.495  0.753
F  0.991  0.503  0.252
F  0.479  0.491  0.747
F  0.752  0.742  0.017
F  0.020  0.008  0.740
F  0.252  0.242  0.517
F  0.243  0.768  0.513
F  0.255  0.738  0.986
F  0.513  0.995  0.253
F  0.520  0.508  0.240
Li  0.749  0.504  0.610
Li  0.490  0.487  0.003
Li  0.759  0.010  0.885
Li  0.259  0.510  0.385
Li  0.250  0.746  0.749
Li  0.249  0.004  0.110
Li  0.750  0.246  0.249
Li  0.990  0.987  0.503
O  0.240  0.263  0.977
O  0.740  0.763  0.477
V  0.006  0.496  0.003
V  0.252  0.248  0.763
V  0.506  0.996  0.503
V  0.752  0.748  0.263

***

Q.
Li4V2OF7 after structural relaxation, computed with GGA+U.

## Properties
Theoretical density in Mg/m³: 3.001
Space group: No. 8

a b c (Å): 5.997 5.997 5.935
angles (deg): 119.42 119.42 61.73
Fractional coordinates of all 14 atoms:
Li  0.000  0.000  0.000
Li  0.005  0.005  0.508
Li  0.389  0.389  0.634
Li  0.633  0.633  0.400
V  0.516  0.999  0.995
V  0.999  0.516  0.995
O  0.759  0.759  0.799
F  0.237  0.759  0.255
F  0.251  0.251  0.230
F  0.251  0.251  0.760
F  0.251  0.784  0.771
F  0.759  0.237  0.255
F  0.764  0.764  0.256
F  0.784  0.251  0.771

***

Stability summary: most stable P, least stable Q.

***

P.
Fe2P3O12 after structural relaxation, computed with GGA+U.

## Properties
Theoretical density in Mg/m³: 3.218
Space group: No. 2

a b c (Å): 8.106 8.108 8.562
angles (deg): 90.00 61.91 60.05
Fractional coordinates of all 34 atoms:
Fe  0.203  0.147  0.444
Fe  0.218  0.640  0.923
Fe  0.782  0.360  0.077
Fe  0.797  0.853  0.556
P  0.001  0.532  0.749
P  0.282  0.966  0.748
P  0.283  0.748  0.253
P  0.717  0.252  0.747
P  0.718  0.034  0.252
P  0.999  0.468  0.251
O  0.072  0.125  0.935
O  0.111  0.718  0.414
O  0.130  0.616  0.762
O  0.134  0.488  0.060
O  0.175  0.318  0.293
O  0.189  0.325  0.596
O  0.222  0.964  0.288
O  0.231  0.979  0.592
O  0.311  0.691  0.067
O  0.351  0.756  0.766
O  0.475  0.991  0.703
O  0.492  0.394  0.761
O  0.508  0.606  0.239
O  0.525  0.009  0.297
O  0.649  0.244  0.234
O  0.689  0.309  0.933
O  0.769  0.021  0.408
O  0.778  0.036  0.712
O  0.811  0.675  0.404
O  0.825  0.682  0.707
O  0.866  0.512  0.940
O  0.870  0.384  0.238
O  0.889  0.282  0.586
O  0.928  0.875  0.065

***

Q.
Fe2P3O12 after structural relaxation, computed with GGA+U.

## Properties
Theoretical density in Mg/m³: 2.841
Space group: No. 14

a b c (Å): 8.714 8.767 14.881
angles (deg): 90.00 125.37 90.00
Fractional coordinates of all 68 atoms:
Fe  0.131  0.034  0.381
Fe  0.131  0.466  0.881
Fe  0.367  0.035  0.117
Fe  0.367  0.465  0.617
Fe  0.633  0.535  0.383
Fe  0.633  0.965  0.883
Fe  0.869  0.534  0.119
Fe  0.869  0.966  0.619
P  0.038  0.750  0.004
P  0.038  0.750  0.504
P  0.248  0.112  0.854
P  0.248  0.388  0.354
P  0.461  0.609  0.855
P  0.461  0.891  0.355
P  0.539  0.109  0.645
P  0.539  0.391  0.145
P  0.752  0.612  0.646
P  0.752  0.888  0.146
P  0.962  0.250  0.496
P  0.962  0.250  0.996
O  0.024  0.675  0.093
O  0.024  0.825  0.593
O  0.034  0.630  0.928
O  0.034  0.870  0.428
O  0.077  0.009  0.775
O  0.077  0.491  0.275
O  0.129  0.142  0.069
O  0.129  0.358  0.569
O  0.195  0.218  0.330
O  0.195  0.282  0.830
O  0.226  0.663  0.563
O  0.226  0.837  0.063
O  0.301  0.608  0.871
O  0.301  0.892  0.371
O  0.321  0.073  0.972
O  0.321  0.427  0.472
O  0.356  0.058  0.536
O  0.356  0.442  0.036
O  0.400  0.085  0.834
O  0.400  0.415  0.334
O  0.417  0.001  0.263
O  0.417  0.499  0.763
O  0.485  0.728  0.325
O  0.485  0.772  0.825
O  0.515  0.228  0.175
O  0.515  0.272  0.675
O  0.583  0.501  0.237
O  0.583  0.999  0.737
O  0.600  0.585  0.666
O  0.600  0.915  0.166
O  0.644  0.558  0.964
O  0.644  0.942  0.464
O  0.679  0.573  0.528
O  0.679  0.927  0.028
O  0.699  0.108  0.629
O  0.699  0.392  0.129
O  0.774  0.163  0.937
O  0.774  0.337  0.437
O  0.805  0.718  0.170
O  0.805  0.782  0.670
O  0.871  0.642  0.431
O  0.871  0.858  0.931
O  0.923  0.509  0.725
O  0.923  0.991  0.225
O  0.966  0.130  0.572
O  0.966  0.370  0.072
O  0.976  0.175  0.407
O  0.976  0.325  0.907

***

Stability summary: most stable Q, least stable P.